LaZnCrCoO6: relaxed, PBE with a Hubbard U.

a b c (Å): 5.325 5.330 9.474
angles (deg): 90.00 123.97 90.00
Space group Pc (No. 7)
Inequivalent atoms, fractional coordinates:
1 La 0.000 0.216 0.000 (multiplicity 2)
2 Zn 0.491 0.283 0.502 (multiplicity 2)
3 Cr 0.243 0.263 0.753 (multiplicity 2)
4 Co 0.738 0.251 0.247 (multiplicity 2)
5 O 0.014 0.475 0.795 (multiplicity 2)
6 O 0.131 0.047 0.306 (multiplicity 2)
7 O 0.409 0.483 0.195 (multiplicity 2)
8 O 0.506 0.049 0.693 (multiplicity 2)
9 O 0.564 0.307 0.995 (multiplicity 2)
10 O 0.875 0.229 0.503 (multiplicity 2)

Results
energy with MP2020 corrections = -74.26 eV per formula unit
calculated formation energy = -2.1610 eV per atom